Entry 1:
A geometry-optimized UNiSn structure. Source: Materials Project, functional r²SCAN.

Cell: 4.1963 5.8622 5.9350 Å, 119.49 110.66 90.06°
With the nearest neighbours (Å) after each atom.
Space group P-1 (No. 2)
Symmetry-distinct sites (fractional):
U: 0.0028 0.2143 0.4983  1 U 2.52
Ni: 0.3690 0.3691 0.2379  1 Ni 2.47, 2 Sn 2.59
Sn: 0.2915 0.7895 0.0828  2 Ni 2.59

- E_tot: -39.124 eV/atom
- Magnetization: 0.000 μB per atom

=====

Entry 2:
A geometry-optimized UNiSn structure. Source: Materials Project, functional r²SCAN.

Cell: 6.3993 6.3993 6.3993 Å, 90.00 90.00 90.00°
With the nearest neighbours (Å) after each atom.
Space group F-43m (No. 216)
Symmetry-distinct sites (fractional):
U: 0.0000 0.0000 0.0000  4 Ni 2.77
Ni: 0.2500 0.2500 0.7500  4 Sn 2.77, 4 U 2.77
Sn: 0.0000 0.0000 0.5000  4 Ni 2.77

- E_tot: -39.197 eV/atom
- Magnetization: 0.667 μB per atom

=====

Entry 3:
A geometry-optimized YNiSn structure. Source: Materials Project, functional r²SCAN.

Cell: 7.1423 4.4548 7.6387 Å, 90.00 90.00 90.00°
With the nearest neighbours (Å) after each atom.
Space group Pnma (No. 62)
Symmetry-distinct sites (fractional):
Y: 0.0132 0.2500 0.2029  6 Ni 3.01-3.30, 6 Sn 3.10-3.20
Ni: 0.1972 0.7500 0.4169  4 Sn 2.58-2.77
Sn: 0.1904 0.2500 0.5878  4 Ni 2.58-2.77

- E_tot: -19.722 eV/atom
- Magnetization: 0.000 μB per atom

=====

Entry 4:
A geometry-optimized Y2Ni2Sn structure. Source: Materials Project, functional r²SCAN.

Cell: 4.2715 5.5957 8.2928 Å, 90.00 90.00 90.00°
With the nearest neighbours (Å) after each atom.
Space group Immm (No. 71)
Symmetry-distinct sites (fractional):
Y: 0.0000 0.0000 0.2032  6 Ni 2.94-2.97, 4 Sn 3.26-3.27
Ni: 0.0000 0.2882 0.5000  1 Ni 2.37
Sn: 0.0000 0.5000 0.0000  4 Ni 2.68

- E_tot: -18.453 eV/atom
- Magnetization: 0.000 μB per atom

=====

Entry 5:
A geometry-optimized Yb5Ni4Sn10 structure. Source: Materials Project, functional r²SCAN.

Cell: 13.5968 13.5968 4.4285 Å, 90.00 90.00 90.00°
With the nearest neighbours (Å) after each atom.
Space group P4/mbm (No. 127)
Symmetry-distinct sites (fractional):
Yb: 0.0000 0.0000 0.0000  12 Sn 3.15-3.43, 4 Ni 3.34
Yb: 0.1056 0.3944 0.5000  10 Sn 3.31-3.51, 4 Ni 3.60
Yb: 0.1808 0.6808 0.5000  8 Sn 3.04-3.23, 4 Ni 3.13
Ni: 0.0374 0.7572 0.0000  5 Sn 2.48-2.61
Sn: 0.0124 0.8355 0.5000  2 Ni 2.48
Sn: 0.0728 0.5728 0.0000  2 Ni 2.55, 1 Sn 2.80
Sn: 0.1474 0.2044 0.0000  2 Ni 2.57-2.61, 1 Sn 2.85

- E_tot: -25.668 eV/atom
- Magnetization: 0.000 μB per atom

=====

Entry 6:
A geometry-optimized YbNi4Sn structure. Source: Materials Project, functional r²SCAN.

Cell: 6.9314 6.9314 6.9314 Å, 90.00 90.00 90.00°
With the nearest neighbours (Å) after each atom.
Space group F-43m (No. 216)
Symmetry-distinct sites (fractional):
Yb: 0.0000 0.0000 0.0000  12 Ni 2.87, 4 Sn 3.00
Ni: 0.1246 0.1246 0.6246  6 Ni 2.44-2.46
Sn: 0.2500 0.2500 0.2500  12 Ni 2.87, 4 Yb 3.00

- E_tot: -18.584 eV/atom
- Magnetization: 0.000 μB per atom

=====

- Which value of E_tot does entry 3 give?
  -19.722 eV/atom

=====

- What is the formula in the fifth record?
  Yb5Ni4Sn10

=====

- What is the E_tot in the first record?
  -39.124 eV/atom

=====

- The highest magnetization belongs to which entry?
  number 2